# 1
## CsMg14Fe (PBE)

Data for CsMg14Fe after structural relaxation. Values from VASP.

```
&SYSTEM
  ibrav = 0, nat = 16, ntyp = 3
/
ATOMIC_SPECIES
Cs 132.91 Cs.upf
Mg 24.30 Mg.upf
Fe 55.84 Fe.upf
CELL_PARAMETERS angstrom
10.625 0.000 0.000
0.000 3.171 5.785
0.000 -3.171 5.785
ATOMIC_POSITIONS angstrom
Cs 0.000 0.000 0.000
Mg 0.000 -1.590 8.607
Mg 0.000 1.590 8.607
Mg 2.334 0.000 7.059
Mg 2.687 -1.511 4.286
Mg 2.687 1.511 4.286
Mg 2.993 0.000 1.507
Mg 5.312 0.000 5.331
Mg 5.312 -1.535 8.250
Mg 5.312 1.535 8.250
Mg 5.312 0.000 11.054
Mg 7.632 0.000 1.507
Mg 7.938 -1.511 4.286
Mg 7.938 1.511 4.286
Mg 8.290 0.000 7.059
Fe 0.000 0.000 4.937
```

Summary:
Calculated volume (Å³ per atom): 24.37
Calculated formation energy (eV per atom): 0.2938
Polymorph energy (0 for the lowest one) (eV/f.u.): 0.49
SG: Amm2, No. 38

=====

# 2
## CsMg14Fe (PBE)

Data for CsMg14Fe after structural relaxation. Values from VASP.

```
&SYSTEM
  ibrav = 0, nat = 16, ntyp = 3
/
ATOMIC_SPECIES
Cs 132.91 Cs.upf
Mg 24.30 Mg.upf
Fe 55.84 Fe.upf
CELL_PARAMETERS angstrom
6.457 0.000 0.000
-3.229 5.592 0.000
0.000 0.000 10.700
ATOMIC_POSITIONS angstrom
Cs 0.000 0.000 0.000
Mg -1.582 2.814 0.000
Mg 0.000 1.858 3.013
Mg 0.000 1.858 7.687
Mg -1.619 4.663 3.013
Mg -1.619 4.663 7.687
Mg 1.582 2.814 0.000
Mg 0.000 5.555 0.000
Mg 3.229 0.056 5.350
Mg 1.663 2.768 5.350
Mg 3.229 1.864 2.593
Mg 3.229 1.864 8.106
Mg 1.619 4.663 3.013
Mg 1.619 4.663 7.687
Mg 4.794 2.768 5.350
Fe 0.000 0.000 5.350
```

Summary:
Calculated volume (Å³ per atom): 24.15
Calculated formation energy (eV per atom): 0.2629
Polymorph energy (0 for the lowest one) (eV/f.u.): 0.00
SG: P-6m2, No. 187

=====

# 3
## Cs3FeS3 (PBE)

Data for Cs3FeS3 after structural relaxation. Values from VASP.

```
&SYSTEM
  ibrav = 0, nat = 28, ntyp = 3
/
ATOMIC_SPECIES
Cs 132.91 Cs.upf
Fe 55.84 Fe.upf
S 32.06 S.upf
CELL_PARAMETERS angstrom
9.644 -3.769 0.000
9.644 3.769 0.000
0.000 0.000 13.563
ATOMIC_POSITIONS angstrom
Cs 3.414 1.172 11.864
Cs 9.644 2.827 11.062
Cs 6.230 1.172 8.480
Cs 3.414 -1.172 1.698
Cs 9.644 0.942 4.280
Cs 6.230 -1.172 5.083
Cs 13.058 1.172 8.480
Cs 9.644 -0.942 9.282
Cs 15.874 1.172 11.864
Cs 13.058 -1.172 5.083
Cs 9.644 -2.827 2.501
Cs 15.874 -1.172 1.698
Fe 1.422 0.000 6.781
Fe 8.222 0.000 0.000
Fe 11.066 0.000 0.000
Fe 17.866 0.000 6.781
S 2.712 0.950 8.374
S 9.644 2.185 7.604
S 6.932 0.950 11.970
S 2.712 -0.950 5.189
S 9.644 1.584 0.823
S 6.932 -0.950 1.592
S 12.356 0.950 11.970
S 9.644 -1.584 12.740
S 16.576 0.950 8.374
S 12.356 -0.950 1.592
S 9.644 -2.185 5.959
S 16.576 -0.950 5.189
```

Summary:
Calculated volume (Å³ per atom): 35.21
Calculated formation energy (eV per atom): -1.1146
SG: Cmce, No. 64

=====

# 4
## Cs3FeSe3 (PBE)

Data for Cs3FeSe3 after structural relaxation. Values from VASP.

```
&SYSTEM
  ibrav = 0, nat = 28, ntyp = 3
/
ATOMIC_SPECIES
Cs 132.91 Cs.upf
Fe 55.84 Fe.upf
Se 78.96 Se.upf
CELL_PARAMETERS angstrom
10.186 -3.798 0.000
10.186 3.798 0.000
0.000 0.000 14.003
ATOMIC_POSITIONS angstrom
Cs 3.604 1.096 12.275
Cs 10.186 2.856 11.334
Cs 6.582 1.096 8.729
Cs 3.604 -1.096 1.727
Cs 10.186 0.942 4.332
Cs 6.582 -1.096 5.274
Cs 13.790 1.096 8.729
Cs 10.186 -0.942 9.671
Cs 16.768 1.096 12.275
Cs 13.790 -1.096 5.274
Cs 10.186 -2.856 2.669
Cs 16.768 -1.096 1.727
Fe 1.580 0.000 7.001
Fe 8.606 0.000 0.000
Fe 11.766 0.000 0.000
Fe 18.793 0.000 7.001
Se 2.928 0.975 8.725
Se 10.186 2.082 7.833
Se 7.258 0.975 12.279
Se 2.928 -0.975 5.278
Se 10.186 1.716 0.831
Se 7.258 -0.975 1.723
Se 13.114 0.975 12.279
Se 10.186 -1.716 13.172
Se 17.445 0.975 8.725
Se 13.114 -0.975 1.723
Se 10.186 -2.082 6.170
Se 17.445 -0.975 5.278
```

Summary:
Calculated volume (Å³ per atom): 38.69
Calculated formation energy (eV per atom): -1.0721
SG: Cmce, No. 64

=====

# 5
## CsFe2Se3 (PBE)

Data for CsFe2Se3 after structural relaxation. Values from VASP.

```
&SYSTEM
  ibrav = 0, nat = 12, ntyp = 3
/
ATOMIC_SPECIES
Cs 132.91 Cs.upf
Fe 55.84 Fe.upf
Se 78.96 Se.upf
CELL_PARAMETERS angstrom
4.928 -6.184 0.000
4.928 6.184 0.000
0.000 0.000 5.469
ATOMIC_POSITIONS angstrom
Cs 4.928 4.148 4.102
Cs 4.928 -4.148 1.367
Fe 3.663 0.000 0.000
Fe 3.663 0.000 2.734
Fe 6.193 0.000 0.000
Fe 6.193 0.000 2.734
Se 2.309 1.325 4.102
Se 2.309 -1.325 1.367
Se 4.928 1.564 1.367
Se 4.928 -1.564 4.102
Se 7.547 1.325 4.102
Se 7.547 -1.325 1.367
```

Summary:
Calculated volume (Å³ per atom): 27.78
Calculated formation energy (eV per atom): -0.7596
SG: Cmcm, No. 63

=====

# 6
## Cs8Ga11 (PBE)

Data for Cs8Ga11 after structural relaxation. Values from VASP.

```
&SYSTEM
  ibrav = 0, nat = 38, ntyp = 2
/
ATOMIC_SPECIES
Cs 132.91 Cs.upf
Ga 69.72 Ga.upf
CELL_PARAMETERS angstrom
5.065 2.924 17.164
-5.065 2.924 17.164
0.000 -5.849 17.164
ATOMIC_POSITIONS angstrom
Cs 0.000 0.000 4.007
Cs -2.839 0.373 18.339
Cs -2.226 -2.551 26.921
Cs -3.322 0.652 24.572
Cs 1.097 -2.645 18.339
Cs -1.743 -2.272 33.154
Cs 1.097 -3.203 24.572
Cs 0.000 0.000 21.740
Cs 0.000 0.000 29.754
Cs -1.097 3.203 26.921
Cs 1.743 2.272 18.339
Cs -1.097 2.645 33.154
Cs 3.322 -0.652 26.921
Cs 2.226 2.551 24.572
Cs 2.839 -0.373 33.154
Cs 0.000 0.000 47.486
Ga -2.573 0.031 14.269
Ga -2.492 -2.893 22.851
Ga -0.947 -1.640 12.873
Ga 0.000 0.000 10.601
Ga -3.752 0.712 28.642
Ga -0.947 1.640 12.873
Ga 1.259 -2.244 14.269
Ga 0.000 0.000 15.146
Ga 1.893 0.000 12.873
Ga -1.313 -2.212 37.224
Ga 1.259 -3.605 28.642
Ga -1.259 3.605 22.851
Ga 1.313 2.212 14.269
Ga -1.893 0.000 38.620
Ga 0.000 0.000 36.348
Ga -1.259 2.244 37.224
Ga 0.947 -1.640 38.620
Ga 3.752 -0.712 22.851
Ga 0.000 0.000 40.892
Ga 0.947 1.640 38.620
Ga 2.492 2.893 28.642
Ga 2.573 -0.031 37.224
```

Summary:
Calculated volume (Å³ per atom): 40.14
Calculated formation energy (eV per atom): -0.1417
SG: R-3c, No. 167

=====

# 7
## Cs2NaGaH6 (PBE)

Data for Cs2NaGaH6 after structural relaxation. Values from VASP.

```
&SYSTEM
  ibrav = 0, nat = 10, ntyp = 4
/
ATOMIC_SPECIES
Cs 132.91 Cs.upf
Na 22.99 Na.upf
Ga 69.72 Ga.upf
H 1.01 H.upf
CELL_PARAMETERS angstrom
0.000 4.305 4.305
4.305 0.000 4.305
4.305 4.305 0.000
ATOMIC_POSITIONS angstrom
Cs 2.153 2.153 2.153
Cs 6.458 6.458 6.458
Na 0.000 0.000 0.000
Ga 4.305 4.305 4.305
H 4.305 4.305 2.498
H 4.305 2.498 4.305
H 6.113 4.305 4.305
H 2.498 4.305 4.305
H 4.305 6.113 4.305
H 4.305 4.305 6.113
```

Summary:
Calculated volume (Å³ per atom): 15.96
Calculated formation energy (eV per atom): -0.2160
SG: Fm-3m, No. 225

=====

# 8
## CsGaP3HO10 (PBE)

Data for CsGaP3HO10 after structural relaxation. Values from VASP.

```
&SYSTEM
  ibrav = 0, nat = 32, ntyp = 5
/
ATOMIC_SPECIES
Cs 132.91 Cs.upf
Ga 69.72 Ga.upf
P 30.97 P.upf
H 1.01 H.upf
O 16.00 O.upf
CELL_PARAMETERS angstrom
8.960 0.000 0.000
0.000 5.055 0.000
-5.370 0.000 10.667
ATOMIC_POSITIONS angstrom
Cs -1.343 0.047 2.667
Cs -4.028 5.008 8.000
Ga 4.480 0.000 0.000
Ga 1.795 0.000 5.333
P 2.460 2.520 0.072
P -0.225 2.535 5.405
P 3.138 1.216 2.667
P 0.452 3.839 8.000
P 3.815 2.520 5.262
P 1.130 2.535 10.595
H 0.000 2.527 0.000
H -2.685 2.527 5.333
O -4.312 2.252 10.166
O -1.627 2.802 4.833
O 0.112 1.052 5.290
O -2.573 4.003 10.623
O -1.901 1.582 10.089
O 0.784 3.472 4.756
O 2.361 2.194 1.672
O -0.324 2.861 7.005
O 2.084 0.437 3.414
O -0.601 4.617 8.748
O 4.191 0.437 1.919
O 1.506 4.617 7.253
O 3.914 2.194 3.662
O 1.229 2.861 8.995
O 2.806 1.582 5.911
O 5.491 3.472 0.578
O 6.163 1.052 0.044
O 3.478 4.003 5.377
O 5.217 2.252 5.834
O 7.902 2.802 0.500
```

Summary:
Calculated volume (Å³ per atom): 15.10
Calculated formation energy (eV per atom): -2.5272
SG: P2/c, No. 13

=====

# 9
## CsGaP3HO10 (PBE)

Data for CsGaP3HO10 after structural relaxation. Values from VASP.

```
&SYSTEM
  ibrav = 0, nat = 16, ntyp = 5
/
ATOMIC_SPECIES
Cs 132.91 Cs.upf
Ga 69.72 Ga.upf
P 30.97 P.upf
H 1.01 H.upf
O 16.00 O.upf
CELL_PARAMETERS angstrom
4.590 -4.415 0.000
4.590 4.415 0.000
-2.345 0.000 5.849
ATOMIC_POSITIONS angstrom
Cs 0.000 0.000 0.000
Ga 3.417 -1.439 2.925
P 1.505 1.051 3.538
P 5.330 1.051 2.312
P 4.590 -0.585 0.000
H 3.417 2.201 2.925
O 2.527 2.180 3.741
O 1.267 0.388 5.036
O 4.308 2.180 2.108
O 2.014 -0.069 2.632
O 5.567 0.388 0.813
O 3.732 -1.407 0.935
O 4.820 -0.069 3.217
O 2.123 -2.909 2.720
O 3.102 -1.407 4.914
O 4.711 -2.909 3.129
```

Summary:
Calculated volume (Å³ per atom): 14.81
Calculated formation energy (eV per atom): -2.5271
Maximum piezoelectric response (C/m2): 0.35
SG: C2, No. 5

=====

# 10
## CsGaP3HO10 (PBE)

Data for CsGaP3HO10 after structural relaxation. Values from VASP.

```
&SYSTEM
  ibrav = 0, nat = 64, ntyp = 5
/
ATOMIC_SPECIES
Cs 132.91 Cs.upf
Ga 69.72 Ga.upf
P 30.97 P.upf
H 1.01 H.upf
O 16.00 O.upf
CELL_PARAMETERS angstrom
11.916 0.000 0.000
0.000 5.035 0.000
0.000 0.000 15.875
ATOMIC_POSITIONS angstrom
Cs 1.349 0.139 0.000
Cs 4.609 0.139 7.937
Cs 7.307 4.896 0.000
Cs 10.567 4.896 7.937
Ga 2.157 0.005 4.215
Ga 3.801 0.005 12.152
Ga 8.115 5.031 4.215
Ga 9.759 5.031 12.152
P 0.826 3.820 12.090
P 1.146 2.542 5.960
P 2.865 2.522 10.347
P 3.093 2.522 2.409
P 4.812 2.542 13.897
P 5.132 3.820 4.152
P 6.784 1.215 12.090
P 7.104 2.493 5.960
P 8.823 2.513 10.347
P 9.051 2.513 2.409
P 10.770 2.493 13.897
P 11.090 1.215 4.152
H 1.663 2.494 8.143
H 4.295 2.494 0.206
H 7.621 2.541 8.143
H 10.253 2.541 0.206
O 0.297 2.788 13.202
O 0.315 0.421 3.581
O 0.807 2.278 7.461
O 1.368 2.882 10.932
O 1.434 4.025 5.773
O 1.950 4.589 12.751
O 2.069 3.438 3.064
O 2.199 1.594 5.413
O 2.758 2.770 8.842
O 2.884 1.034 2.692
O 3.074 1.034 10.629
O 3.200 2.770 0.905
O 3.760 1.594 13.351
O 3.889 3.438 11.002
O 4.008 4.589 4.814
O 4.524 4.025 13.711
O 4.590 2.882 2.994
O 5.151 2.278 15.398
O 5.643 0.421 11.519
O 5.661 2.788 5.265
O 6.255 2.247 13.202
O 6.273 4.614 3.581
O 6.765 2.757 7.461
O 7.326 2.153 10.932
O 7.392 1.010 5.773
O 7.908 0.446 12.751
O 8.027 1.597 3.064
O 8.157 3.441 5.413
O 8.716 2.265 8.842
O 8.842 4.001 2.692
O 9.032 4.001 10.629
O 9.158 2.265 0.905
O 9.718 3.441 13.351
O 9.847 1.597 11.002
O 9.966 0.446 4.814
O 10.482 1.010 13.711
O 10.548 2.153 2.994
O 11.109 2.757 15.398
O 11.601 4.614 11.519
O 11.619 2.247 5.265
```

Summary:
Calculated volume (Å³ per atom): 14.88
Calculated formation energy (eV per atom): -2.5267
SG: Pca2_1, No. 29